# 1
DFT (GGA-PBE) results for crystalline KV15S24 at its relaxed geometry. Values from VASP.

Structure (Quantum ESPRESSO input):
```
&SYSTEM
  ibrav = 0, nat = 40, ntyp = 3
/
ATOMIC_SPECIES
K 39.10 K.upf
V 50.94 V.upf
S 32.06 S.upf
CELL_PARAMETERS angstrom
8.9657 0.0000 0.0000
1.4635 9.3692 0.0000
2.6675 4.3690 8.3329
ATOMIC_POSITIONS crystal
K 0.0000 0.0000 0.0000
V 0.0000 0.5000 0.5000
V 0.0405 0.3680 0.7953
V 0.1528 0.4805 0.0536
V 0.2317 0.2195 0.4861
V 0.2472 0.6939 0.5554
V 0.2667 0.7779 0.7927
V 0.3497 0.2358 0.8175
V 0.4121 0.0311 0.3164
V 0.5879 0.9689 0.6836
V 0.6503 0.7642 0.1825
V 0.7333 0.2221 0.2073
V 0.7528 0.3061 0.4446
V 0.7683 0.7805 0.5139
V 0.8472 0.5195 0.9464
V 0.9595 0.6320 0.2047
S 0.0031 0.2829 0.0743
S 0.0164 0.7772 0.3229
S 0.0256 0.3628 0.3379
S 0.1758 0.9605 0.5247
S 0.2479 0.6831 0.0710
S 0.2588 0.4270 0.5617
S 0.2914 0.4994 0.8079
S 0.3068 0.0378 0.7517
S 0.3479 0.3162 0.2065
S 0.3568 0.1088 0.0636
S 0.3964 0.7737 0.3062
S 0.4877 0.8296 0.5613
S 0.5123 0.1704 0.4387
S 0.6036 0.2263 0.6938
S 0.6432 0.8912 0.9364
S 0.6521 0.6838 0.7935
S 0.6932 0.9622 0.2483
S 0.7086 0.5006 0.1921
S 0.7412 0.5730 0.4383
S 0.7521 0.3169 0.9290
S 0.8242 0.0395 0.4753
S 0.9744 0.6372 0.6621
S 0.9836 0.2228 0.6771
S 0.9969 0.7171 0.9257
```

=====

# 2
DFT (GGA-PBE) results for crystalline KV5S8 at its relaxed geometry. Values from VASP.

The value obtained for the offset from the most stable computed form is 0.0000 eV/atom.

Structure (Quantum ESPRESSO input):
```
&SYSTEM
  ibrav = 0, nat = 14, ntyp = 3
/
ATOMIC_SPECIES
K 39.10 K.upf
V 50.94 V.upf
S 32.06 S.upf
CELL_PARAMETERS angstrom
8.8005 -1.6371 0.0000
8.8005 1.6371 0.0000
-2.1611 0.0000 8.2121
ATOMIC_POSITIONS crystal
K 0.0000 0.0000 0.0000
V 0.1892 0.1080 0.4931
V 0.2516 0.1698 0.8584
V 0.5420 0.4580 0.5000
V 0.8302 0.7484 0.1416
V 0.8920 0.8108 0.5069
S 0.1171 0.0328 0.6771
S 0.3003 0.2178 0.3404
S 0.3790 0.2990 0.9990
S 0.4538 0.3763 0.6834
S 0.6237 0.5462 0.3166
S 0.7010 0.6210 0.0010
S 0.7822 0.6997 0.6596
S 0.9672 0.8829 0.3229
```

=====

# 3
DFT (GGA-PBE) results for crystalline K2Zn3S4 at its relaxed geometry. Values from VASP.

Structure (Quantum ESPRESSO input):
```
&SYSTEM
  ibrav = 0, nat = 18, ntyp = 3
/
ATOMIC_SPECIES
K 39.10 K.upf
Zn 65.41 Zn.upf
S 32.06 S.upf
CELL_PARAMETERS angstrom
-2.8907 5.5075 6.7062
2.8907 -5.5075 6.7062
2.8907 5.5075 -6.7062
ATOMIC_POSITIONS crystal
K 0.1216 0.2347 0.3563
K 0.3784 0.7347 0.1131
K 0.6216 0.2653 0.8869
K 0.8784 0.7653 0.6437
Zn 0.0267 0.2500 0.7767
Zn 0.2500 0.7500 0.5000
Zn 0.4733 0.2500 0.2233
Zn 0.5267 0.7500 0.7767
Zn 0.7500 0.2500 0.5000
Zn 0.9733 0.7500 0.2233
S 0.0153 0.4263 0.1457
S 0.2194 0.0737 0.5890
S 0.2806 0.8696 0.8543
S 0.4847 0.6304 0.4110
S 0.5153 0.3696 0.5890
S 0.7194 0.1304 0.1457
S 0.7806 0.9263 0.4110
S 0.9847 0.5737 0.8543
```

=====

# 4
DFT (GGA-PBE) results for crystalline K2Zn3S4 at its relaxed geometry. Values from VASP.

Structure (Quantum ESPRESSO input):
```
&SYSTEM
  ibrav = 0, nat = 36, ntyp = 3
/
ATOMIC_SPECIES
K 39.10 K.upf
Zn 65.41 Zn.upf
S 32.06 S.upf
CELL_PARAMETERS angstrom
13.7609 0.0000 0.0000
0.0000 10.0405 0.0000
0.0000 0.0000 6.2166
ATOMIC_POSITIONS crystal
K 0.0000 0.0000 0.0000
K 0.0000 0.5000 0.0000
K 0.0350 0.2500 0.4775
K 0.4650 0.7500 0.9775
K 0.5000 0.0000 0.5000
K 0.5000 0.5000 0.5000
K 0.5350 0.2500 0.0225
K 0.9650 0.7500 0.5225
Zn 0.2071 0.7500 0.2356
Zn 0.2456 0.0986 0.1636
Zn 0.2456 0.4014 0.1636
Zn 0.2544 0.5986 0.6636
Zn 0.2544 0.9014 0.6636
Zn 0.2929 0.2500 0.7356
Zn 0.7071 0.7500 0.2644
Zn 0.7456 0.0986 0.3364
Zn 0.7456 0.4014 0.3364
Zn 0.7544 0.5986 0.8364
Zn 0.7544 0.9014 0.8364
Zn 0.7929 0.2500 0.7644
S 0.1448 0.2500 0.9446
S 0.1484 0.5390 0.3794
S 0.1484 0.9610 0.3794
S 0.1606 0.7500 0.8746
S 0.3394 0.2500 0.3746
S 0.3516 0.0390 0.8794
S 0.3516 0.4610 0.8794
S 0.3552 0.7500 0.4446
S 0.6448 0.2500 0.5554
S 0.6484 0.5390 0.1206
S 0.6484 0.9610 0.1206
S 0.6606 0.7500 0.6254
S 0.8394 0.2500 0.1254
S 0.8516 0.0390 0.6206
S 0.8516 0.4610 0.6206
S 0.8552 0.7500 0.0554
```

=====

# 5
DFT (GGA-PBE) results for crystalline K5Sb4 at its relaxed geometry. Values from VASP.

The value obtained for the offset from the most stable computed form is 0.0000 eV/atom.

Structure (Quantum ESPRESSO input):
```
&SYSTEM
  ibrav = 0, nat = 9, ntyp = 2
/
ATOMIC_SPECIES
K 39.10 K.upf
Sb 121.76 Sb.upf
CELL_PARAMETERS angstrom
6.2828 -2.7681 0.0000
6.2828 2.7681 0.0000
-4.1958 0.0000 10.6174
ATOMIC_POSITIONS crystal
K 0.0000 0.0000 0.0000
K 0.1004 0.1004 0.3913
K 0.2452 0.2452 0.8341
K 0.7548 0.7548 0.1659
K 0.8996 0.8996 0.6087
Sb 0.3952 0.3952 0.3916
Sb 0.4561 0.4561 0.1759
Sb 0.5439 0.5439 0.8241
Sb 0.6048 0.6048 0.6084
```

=====

# 6
DFT (GGA-PBE) results for crystalline KSb3 at its relaxed geometry. Values from VASP.

Structure (Quantum ESPRESSO input):
```
&SYSTEM
  ibrav = 0, nat = 8, ntyp = 2
/
ATOMIC_SPECIES
K 39.10 K.upf
Sb 121.76 Sb.upf
CELL_PARAMETERS angstrom
5.5331 0.0000 0.0000
-2.7665 4.7918 0.0000
0.0000 0.0000 9.7989
ATOMIC_POSITIONS crystal
K 0.3333 0.6667 0.2500
K 0.6667 0.3333 0.7500
Sb 0.0000 0.0000 0.2500
Sb 0.0000 0.0000 0.7500
Sb 0.3333 0.6667 0.5986
Sb 0.3333 0.6667 0.9014
Sb 0.6667 0.3333 0.0986
Sb 0.6667 0.3333 0.4014
```

=====

# 7
DFT (GGA-PBE) results for crystalline K5Sb4 at its relaxed geometry. Values from VASP.

The value obtained for the offset from the most stable computed form is 0.0505 eV/atom.

Structure (Quantum ESPRESSO input):
```
&SYSTEM
  ibrav = 0, nat = 9, ntyp = 2
/
ATOMIC_SPECIES
K 39.10 K.upf
Sb 121.76 Sb.upf
CELL_PARAMETERS angstrom
6.5552 0.0000 0.0000
-0.7427 6.8468 0.0000
-0.0064 -0.2282 8.4734
ATOMIC_POSITIONS crystal
K 0.0000 0.0000 0.0000
K 0.2646 0.2077 0.5227
K 0.2909 0.5222 0.1408
K 0.7091 0.4778 0.8592
K 0.7354 0.7923 0.4773
Sb 0.2204 0.6788 0.7139
Sb 0.4832 0.0244 0.1662
Sb 0.5168 0.9756 0.8338
Sb 0.7796 0.3212 0.2861
```

=====

# 8
DFT (GGA-PBE) results for crystalline K5Sb4 at its relaxed geometry. Values from VASP.

The value obtained for the offset from the most stable computed form is 0.0009 eV/atom.

Structure (Quantum ESPRESSO input):
```
&SYSTEM
  ibrav = 0, nat = 9, ntyp = 2
/
ATOMIC_SPECIES
K 39.10 K.upf
Sb 121.76 Sb.upf
CELL_PARAMETERS angstrom
6.2692 -2.7660 0.0000
6.2692 2.7660 0.0000
-4.2131 0.0000 10.5859
ATOMIC_POSITIONS crystal
K 0.0000 0.0000 0.0000
K 0.5102 0.5102 0.3322
K 0.6515 0.6515 0.7751
K 0.7726 0.7726 0.1783
K 0.8526 0.8526 0.5589
Sb 0.1468 0.1468 0.5570
Sb 0.2074 0.2074 0.3407
Sb 0.2951 0.2951 0.9896
Sb 0.3568 0.3568 0.7748
```

=====

# 9
DFT (GGA-PBE) results for crystalline KSb2 at its relaxed geometry. Values from VASP.

Structure (Quantum ESPRESSO input):
```
&SYSTEM
  ibrav = 0, nat = 6, ntyp = 2
/
ATOMIC_SPECIES
K 39.10 K.upf
Sb 121.76 Sb.upf
CELL_PARAMETERS angstrom
7.1896 -2.1521 0.0000
7.1896 2.1521 0.0000
-0.4465 0.0000 7.1708
ATOMIC_POSITIONS crystal
K 0.1343 0.1343 0.1296
K 0.8657 0.8657 0.8704
Sb 0.1855 0.1855 0.6281
Sb 0.4478 0.4478 0.3194
Sb 0.5522 0.5522 0.6806
Sb 0.8145 0.8145 0.3719
```

=====

# 10
DFT (GGA-PBE) results for crystalline KSb2Se4 at its relaxed geometry. Values from VASP.

Structure (Quantum ESPRESSO input):
```
&SYSTEM
  ibrav = 0, nat = 14, ntyp = 3
/
ATOMIC_SPECIES
K 39.10 K.upf
Sb 121.76 Sb.upf
Se 78.96 Se.upf
CELL_PARAMETERS angstrom
6.9351 0.0000 0.0000
1.7208 6.8275 0.0000
1.1530 1.4829 9.2810
ATOMIC_POSITIONS crystal
K 0.2018 0.1884 0.0678
K 0.7982 0.8116 0.9322
Sb 0.1475 0.1888 0.5442
Sb 0.4170 0.6057 0.6631
Sb 0.5830 0.3943 0.3369
Sb 0.8525 0.8112 0.4558
Se 0.0848 0.4813 0.7260
Se 0.2136 0.8534 0.3786
Se 0.3045 0.9357 0.7733
Se 0.4047 0.5896 0.0938
Se 0.5953 0.4104 0.9062
Se 0.6955 0.0643 0.2267
Se 0.7864 0.1466 0.6214
Se 0.9152 0.5187 0.2740
```

=====

# 11
DFT (GGA-PBE) results for crystalline KSbSe2 at its relaxed geometry. Values from VASP.

Structure (Quantum ESPRESSO input):
```
&SYSTEM
  ibrav = 0, nat = 16, ntyp = 3
/
ATOMIC_SPECIES
K 39.10 K.upf
Sb 121.76 Sb.upf
Se 78.96 Se.upf
CELL_PARAMETERS angstrom
6.6500 0.0000 0.0000
-1.5050 6.4880 0.0000
-2.0484 -2.5362 12.2446
ATOMIC_POSITIONS crystal
K 0.0664 0.3209 0.1529
K 0.4204 0.7324 0.5892
K 0.5796 0.2676 0.4108
K 0.9336 0.6791 0.8471
Sb 0.0782 0.1876 0.6462
Sb 0.4983 0.7791 0.0859
Sb 0.5017 0.2209 0.9141
Sb 0.9218 0.8124 0.3538
Se 0.0580 0.2058 0.4075
Se 0.1078 0.2136 0.8773
Se 0.4720 0.8203 0.8663
Se 0.4850 0.2488 0.6747
Se 0.5150 0.7512 0.3253
Se 0.5280 0.1797 0.1337
Se 0.8922 0.7864 0.1227
Se 0.9420 0.7942 0.5925
```

=====

# 12
DFT (GGA-PBE) results for crystalline K3SbSe4 at its relaxed geometry. Values from VASP.

For the largest piezoelectric modulus, the calculation gives 0.4 C/m².

Structure (Quantum ESPRESSO input):
```
&SYSTEM
  ibrav = 0, nat = 16, ntyp = 3
/
ATOMIC_SPECIES
K 39.10 K.upf
Sb 121.76 Sb.upf
Se 78.96 Se.upf
CELL_PARAMETERS angstrom
5.8881 3.3995 4.5576
-5.8881 3.3995 4.5576
0.0000 -6.7990 4.5576
ATOMIC_POSITIONS crystal
K 0.1349 0.2054 0.6597
K 0.1597 0.7054 0.6349
K 0.2054 0.6597 0.1349
K 0.6349 0.1597 0.7054
K 0.6597 0.1349 0.2054
K 0.7054 0.6349 0.1597
Sb 0.1588 0.1588 0.1588
Sb 0.6588 0.6588 0.6588
Se 0.0014 0.9612 0.3312
Se 0.3312 0.0014 0.9612
Se 0.3426 0.3426 0.3426
Se 0.4612 0.5014 0.8312
Se 0.5014 0.8312 0.4612
Se 0.8312 0.4612 0.5014
Se 0.8426 0.8426 0.8426
Se 0.9612 0.3312 0.0014
```

=====

no.,total energy after the MP2020 corrections (eV per atom),ΔE_f (eV per atom)
1,-6.8794,-0.96
2,-6.9784,-1.29
3,-3.6835,-1.18
4,-3.6801,-1.18
5,-2.9671,-0.52
6,-3.2575,0.12
7,-2.9165,-0.46
8,-2.9661,-0.51
9,-3.5501,-0.43
10,-4.0971,-0.76
11,-3.9800,-0.92
12,-3.7748,-1.09